(1)
This record from the Materials Project database describes a relaxed structure of LiNd2O6. The functional is PBE.

Output
calculated formation energy: -2218 meV per atom
space-group type: C2/m, No. 12
magnetic moment: 1.0 μB per cell
calculated density: 4.75 g cm⁻³
E_tot: -6.48 eV per atom
polymorph energy (0 for the lowest one): 0 meV per atom

Unit cell a=7.1838 b=7.1838 c=4.6916 alpha=108.68 beta=108.68 gamma=36.91
Element x y z (fractional)
Li (0.0000, 0.0000, 0.0000)
Nd (0.3201, 0.3201, 0.8540)
Nd (0.6799, 0.6799, 0.1460)
O (0.1438, 0.1438, 0.9713)
O (0.2696, 0.2696, 0.3042)
O (0.4943, 0.4943, 0.8352)
O (0.5057, 0.5057, 0.1648)
O (0.7304, 0.7304, 0.6958)
O (0.8562, 0.8562, 0.0287)

(2)
This record from the Materials Project database describes a relaxed structure of Ti3P3O13. The functional is PBE.

Output
calculated formation energy: -3038 meV per atom
space-group type: P2_1/m, No. 11
magnetic moment: 2.0 μB per cell
calculated density: 2.91 g cm⁻³
E_tot: -8.05 eV per atom

Unit cell a=7.6814 b=6.3779 c=10.4673 alpha=90.00 beta=98.48 gamma=90.00
Element x y z (fractional)
Ti (0.0000, 0.0000, 0.0000)
Ti (0.0000, 0.5000, 0.0000)
Ti (0.2092, 0.2500, 0.5585)
Ti (0.3535, 0.7500, 0.1896)
Ti (0.6465, 0.2500, 0.8104)
Ti (0.7908, 0.7500, 0.4415)
P (0.2206, 0.7500, 0.4805)
P (0.2560, 0.2500, 0.2348)
P (0.3040, 0.2500, 0.8795)
P (0.6960, 0.7500, 0.1205)
P (0.7440, 0.7500, 0.7652)
P (0.7794, 0.2500, 0.5195)
O (0.0216, 0.7500, 0.4135)
O (0.0829, 0.2500, 0.1310)
O (0.1315, 0.7500, 0.0984)
O (0.2035, 0.0529, 0.9121)
O (0.2035, 0.4471, 0.9121)
O (0.2045, 0.2500, 0.3729)
O (0.2506, 0.5516, 0.5645)
O (0.2506, 0.9484, 0.5645)
O (0.3324, 0.2500, 0.7342)
O (0.3419, 0.7500, 0.3776)
O (0.3616, 0.0538, 0.2116)
O (0.3616, 0.4462, 0.2116)
O (0.4988, 0.2500, 0.9460)
O (0.5012, 0.7500, 0.0540)
O (0.6384, 0.5538, 0.7884)
O (0.6384, 0.9462, 0.7884)
O (0.6581, 0.2500, 0.6224)
O (0.6676, 0.7500, 0.2658)
O (0.7494, 0.0516, 0.4355)
O (0.7494, 0.4484, 0.4355)
O (0.7955, 0.7500, 0.6271)
O (0.7965, 0.5529, 0.0879)
O (0.7965, 0.9471, 0.0879)
O (0.8685, 0.2500, 0.9016)
O (0.9171, 0.7500, 0.8690)
O (0.9784, 0.2500, 0.5865)

(3)
This record from the Materials Project database describes a relaxed structure of K2UH4C4SNO10. The functional is PBE.

Output
calculated formation energy: -1728 meV per atom
space-group type: P2_1/c, No. 14
magnetic moment: 0.0 μB per cell
calculated density: 2.78 g cm⁻³
E_tot: -6.88 eV per atom

Unit cell a=8.1167 b=15.1208 c=12.9664 alpha=90.00 beta=120.30 gamma=90.00
Element x y z (fractional)
K (0.1887, 0.1241, 0.1124)
K (0.1887, 0.3759, 0.6124)
K (0.2108, 0.6916, 0.2569)
K (0.2108, 0.8084, 0.7569)
K (0.7892, 0.1916, 0.2431)
K (0.7892, 0.3084, 0.7431)
K (0.8113, 0.6241, 0.3876)
K (0.8113, 0.8759, 0.8876)
U (0.3775, 0.0813, 0.6815)
U (0.3775, 0.4187, 0.1815)
U (0.6225, 0.5813, 0.8185)
U (0.6225, 0.9187, 0.3185)
H (0.0573, 0.1104, 0.8345)
H (0.0573, 0.3896, 0.3345)
H (0.1200, 0.6002, 0.6487)
H (0.1200, 0.8998, 0.1487)
H (0.2108, 0.1585, 0.3635)
H (0.2108, 0.3415, 0.8635)
H (0.2231, 0.2438, 0.8250)
H (0.2231, 0.2562, 0.3250)
H (0.7769, 0.7438, 0.6750)
H (0.7769, 0.7562, 0.1750)
H (0.7892, 0.6585, 0.1365)
H (0.7892, 0.8415, 0.6365)
H (0.8800, 0.1002, 0.8513)
H (0.8800, 0.3998, 0.3513)
H (0.9427, 0.6104, 0.6655)
H (0.9427, 0.8896, 0.1655)
C (0.0973, 0.6664, 0.9625)
C (0.0973, 0.8336, 0.4625)
C (0.3273, 0.5765, 0.5272)
C (0.3273, 0.9235, 0.0272)
C (0.4053, 0.0162, 0.4468)
C (0.4053, 0.4838, 0.9468)
C (0.4808, 0.1112, 0.9586)
C (0.4808, 0.3888, 0.4586)
C (0.5192, 0.6112, 0.5414)
C (0.5192, 0.8888, 0.0414)
C (0.5947, 0.5162, 0.0532)
C (0.5947, 0.9838, 0.5532)
C (0.6727, 0.0765, 0.9728)
C (0.6727, 0.4235, 0.4728)
C (0.9027, 0.1664, 0.5375)
C (0.9027, 0.3336, 0.0375)
S (0.3167, 0.6948, 0.0200)
S (0.3167, 0.8052, 0.5200)
S (0.6833, 0.1948, 0.4800)
S (0.6833, 0.3052, 0.9800)
N (0.0663, 0.1462, 0.5792)
N (0.0663, 0.3538, 0.0792)
N (0.9337, 0.6462, 0.9208)
N (0.9337, 0.8538, 0.4208)
O (0.0223, 0.6421, 0.6409)
O (0.0223, 0.8579, 0.1409)
O (0.1641, 0.1983, 0.2945)
O (0.1641, 0.3017, 0.7945)
O (0.1811, 0.5725, 0.4273)
O (0.1811, 0.9275, 0.9273)
O (0.2817, 0.5263, 0.1843)
O (0.2817, 0.9737, 0.6843)
O (0.2962, 0.0597, 0.4724)
O (0.2962, 0.4403, 0.9724)
O (0.3401, 0.5542, 0.6279)
O (0.3401, 0.9458, 0.1279)
O (0.3476, 0.1238, 0.8479)
O (0.3476, 0.3762, 0.3479)
O (0.3736, 0.5018, 0.8432)
O (0.3736, 0.9982, 0.3432)
O (0.4647, 0.1248, 0.0472)
O (0.4647, 0.3752, 0.5472)
O (0.4767, 0.1887, 0.6796)
O (0.4767, 0.3113, 0.1796)
O (0.5233, 0.6887, 0.8204)
O (0.5233, 0.8113, 0.3204)
O (0.5353, 0.6248, 0.4528)
O (0.5353, 0.8752, 0.9528)
O (0.6264, 0.0018, 0.6568)
O (0.6264, 0.4982, 0.1568)
O (0.6524, 0.6238, 0.6521)
O (0.6524, 0.8762, 0.1521)
O (0.6599, 0.0542, 0.8721)
O (0.6599, 0.4458, 0.3721)
O (0.7038, 0.5597, 0.0276)
O (0.7038, 0.9403, 0.5276)
O (0.7183, 0.0263, 0.3157)
O (0.7183, 0.4737, 0.8157)
O (0.8189, 0.0725, 0.0727)
O (0.8189, 0.4275, 0.5727)
O (0.8359, 0.6983, 0.2055)
O (0.8359, 0.8017, 0.7055)
O (0.9777, 0.1421, 0.8591)
O (0.9777, 0.3579, 0.3591)

(4)
This record from the Materials Project database describes a relaxed structure of Ba9Nb10O30. The functional is PBE.

Output
calculated formation energy: -3193 meV per atom
space-group type: P-1, No. 2
calculated density: 6.21 g cm⁻³
E_tot: -8.22 eV per atom

Unit cell a=9.2285 b=9.2582 c=9.2592 alpha=66.36 beta=89.76 gamma=78.37
Element x y z (fractional)
Ba (0.0000, 0.0000, 0.0000)
Ba (0.1035, 0.5000, 0.1979)
Ba (0.2003, 0.0000, 0.3989)
Ba (0.3022, 0.4998, 0.6034)
Ba (0.4014, 0.9964, 0.8013)
Ba (0.5986, 0.0036, 0.1987)
Ba (0.6978, 0.5002, 0.3966)
Ba (0.7997, 0.0000, 0.6011)
Ba (0.8965, 0.5000, 0.8021)
Nb (0.0503, 0.2496, 0.6002)
Nb (0.1548, 0.7455, 0.8038)
Nb (0.2531, 0.2529, 0.0004)
Nb (0.3525, 0.7471, 0.1973)
Nb (0.4510, 0.2534, 0.3950)
Nb (0.5490, 0.7466, 0.6050)
Nb (0.6475, 0.2529, 0.8027)
Nb (0.7469, 0.7471, 0.9996)
Nb (0.8452, 0.2545, 0.1962)
Nb (0.9497, 0.7504, 0.3998)
O (0.0000, 0.5000, 0.5000)
O (0.0498, 0.2509, 0.0997)
O (0.0501, 0.7496, 0.6000)
O (0.1005, 0.9999, 0.7003)
O (0.1499, 0.2503, 0.7997)
O (0.1498, 0.7498, 0.2998)
O (0.1962, 0.4998, 0.8992)
O (0.2467, 0.7529, 0.0004)
O (0.2496, 0.2502, 0.4996)
O (0.3007, 0.9998, 0.1000)
O (0.3481, 0.2469, 0.2031)
O (0.3479, 0.7529, 0.6967)
O (0.3989, 0.4999, 0.3041)
O (0.4492, 0.2472, 0.8990)
O (0.4501, 0.7495, 0.4004)
O (0.5000, 0.0000, 0.5000)
O (0.5499, 0.2505, 0.5996)
O (0.5508, 0.7528, 0.1010)
O (0.6011, 0.5001, 0.6959)
O (0.6521, 0.2471, 0.3033)
O (0.6519, 0.7531, 0.7969)
O (0.6993, 0.0002, 0.9000)
O (0.7504, 0.7498, 0.5004)
O (0.7533, 0.2471, 0.9996)
O (0.8038, 0.5002, 0.1008)
O (0.8502, 0.2502, 0.7002)
O (0.8501, 0.7497, 0.2003)
O (0.8995, 0.0001, 0.2997)
O (0.9499, 0.2504, 0.4000)
O (0.9502, 0.7491, 0.9003)

(5)
This record from the Materials Project database describes a relaxed structure of Cs2TlInI6. The functional is PBE.

Output
calculated formation energy: -1179 meV per atom
space-group type: Fm-3m, No. 225
magnetic moment: 0.0 μB per cell
calculated density: 4.47 g cm⁻³
E_tot: -2.56 eV per atom

Unit cell a=8.9089 b=8.9089 c=8.9089 alpha=60.00 beta=60.00 gamma=60.00
Element x y z (fractional)
Cs (0.2500, 0.2500, 0.2500)
Cs (0.7500, 0.7500, 0.7500)
Tl (0.0000, 0.0000, 0.0000)
In (0.5000, 0.5000, 0.5000)
I (0.2652, 0.2652, 0.7348)
I (0.2652, 0.7348, 0.2652)
I (0.2652, 0.7348, 0.7348)
I (0.7348, 0.2652, 0.2652)
I (0.7348, 0.2652, 0.7348)
I (0.7348, 0.7348, 0.2652)

(6)
This record from the Materials Project database describes a relaxed structure of Mn3VN3. The functional is PBE.

Output
calculated formation energy: -505 meV per atom
space-group type: Cmcm, No. 63
magnetic moment: 15.3 μB per cell
calculated density: 5.39 g cm⁻³
E_tot: -9.15 eV per atom

Unit cell a=6.8713 b=6.8713 c=3.9023 alpha=90.00 beta=90.00 gamma=120.44
Element x y z (fractional)
Mn (0.1538, 0.8462, 0.7500)
Mn (0.1554, 0.3101, 0.7500)
Mn (0.3101, 0.1554, 0.2500)
Mn (0.6899, 0.8446, 0.7500)
Mn (0.8446, 0.6899, 0.2500)
Mn (0.8462, 0.1538, 0.2500)
V (0.3324, 0.6676, 0.2500)
V (0.6676, 0.3324, 0.7500)
N (0.1767, 0.8233, 0.2500)
N (0.1785, 0.3545, 0.2500)
N (0.3545, 0.1785, 0.7500)
N (0.6455, 0.8215, 0.2500)
N (0.8215, 0.6455, 0.7500)
N (0.8233, 0.1767, 0.7500)